Pr5Ni19: relaxed, PBE-GGA. Values from VASP.

Properties
Energy of formation (eV per atom): -0.276
Theoretical density (kg/m³): 8529
Space-group type: No. 166

```
&SYSTEM
  ibrav = 0, nat = 24, ntyp = 2
/
ATOMIC_SPECIES
Ni 58.69 Ni.upf
Pr 140.91 Pr.upf
ATOMIC_POSITIONS crystal
Ni 0.459 0.960 0.122
Ni 0.622 0.124 0.631
Ni 0.378 0.876 0.369
Ni 0.124 0.622 0.631
Ni 0.378 0.378 0.369
Ni 0.585 0.585 0.246
Ni 0.415 0.415 0.754
Ni 0.876 0.378 0.369
Ni 0.622 0.622 0.631
Ni 0.040 0.541 0.878
Ni 0.749 0.749 0.753
Ni 0.960 0.459 0.122
Ni 0.500 0.500 0.500
Ni 0.541 0.040 0.878
Ni 0.459 0.459 0.122
Ni 0.541 0.541 0.878
Ni 0.251 0.251 0.247
Ni 0.667 0.667 0.000
Ni 0.333 0.333 0.000
Pr 0.922 0.922 0.234
Pr 0.078 0.078 0.766
Pr 0.848 0.848 0.455
Pr 0.152 0.152 0.545
Pr 0.000 0.000 0.000
CELL_PARAMETERS angstrom
2.792 0.786 4.104
4.942 0.797 -0.438
-0.101 16.458 -0.005
```